Computed, not measured: an optimized crystal structure of UNb at the PBE level of DFT.

Unit cell a=3.264 b=4.944 c=4.845 alpha=90.00 beta=90.00 gamma=90.00
Fractional coordinates of all 4 atoms:
1 U 0.000 0.000 0.000
2 U 0.500 0.500 0.000
3 Nb 0.000 0.500 0.500
4 Nb 0.500 0.000 0.500

Values from the calculation:
- Formation energy from the elements: 0.41 eV per formula unit
- Total magnetization: 0.1 μB/cell